Here is a relaxed Sn2Ir crystal from the Materials Project database. Energies are from r²SCAN.

Lattice parameters (Å, degrees): 4.5022 4.5022 4.5022 60.00 60.00 60.00
Last column: nearest neighbours and their distance in Å.
Sites, in units of the cell vectors:
Sn: 0.7500 0.7500 0.7500  4 Ir 2.76
Sn: 0.2500 0.2500 0.2500  4 Ir 2.76
Ir: 0.0000 0.0000 0.0000  8 Sn 2.76

## Properties
energy of formation from the pure elements	-0.31	eV per atom